Record 1
VASP calculation (r2SCAN) on crystalline NiH16C4N10O2 at its relaxed geometry.

abc: 6.7882 7.1257 21.8467
angles: 90.00 90.00 90.00
Element x y z (fractional)
Ni1 0.0000 0.0000 0.0000
Ni2 0.0000 0.5000 0.5000
Ni3 0.5000 0.0000 0.5000
Ni4 0.5000 0.5000 0.0000
H1 0.0854 0.2125 0.2043
H2 0.0854 0.2875 0.7043
H3 0.1008 0.0325 0.6396
H4 0.1008 0.4675 0.1396
H5 0.1257 0.6702 0.9991
H6 0.1257 0.8298 0.4991
H7 0.1291 0.7008 0.4157
H8 0.1291 0.7992 0.9157
H9 0.1521 0.0363 0.7814
H10 0.1521 0.4637 0.2814
H11 0.1730 0.0584 0.5648
H12 0.1730 0.4416 0.0648
H13 0.1950 0.7193 0.6917
H14 0.1950 0.7807 0.1917
H15 0.2413 0.6511 0.3213
H16 0.2413 0.8489 0.8213
H17 0.2587 0.1511 0.3213
H18 0.2587 0.3489 0.8213
H19 0.3050 0.2193 0.6917
H20 0.3050 0.2807 0.1917
H21 0.3270 0.5584 0.5648
H22 0.3270 0.9416 0.0648
H23 0.3479 0.5363 0.7814
H24 0.3479 0.9637 0.2814
H25 0.3709 0.2008 0.4157
H26 0.3709 0.2992 0.9157
H27 0.3743 0.1702 0.9991
H28 0.3743 0.3298 0.4991
H29 0.3992 0.5325 0.6396
H30 0.3992 0.9675 0.1396
H31 0.4146 0.7125 0.2043
H32 0.4146 0.7875 0.7043
H33 0.5854 0.2125 0.2957
H34 0.5854 0.2875 0.7957
H35 0.6008 0.0325 0.8604
H36 0.6008 0.4675 0.3604
H37 0.6257 0.6702 0.5009
H38 0.6257 0.8298 0.0009
H39 0.6291 0.7008 0.0843
H40 0.6291 0.7992 0.5843
H41 0.6521 0.0363 0.7186
H42 0.6521 0.4637 0.2186
H43 0.6730 0.0584 0.9352
H44 0.6730 0.4416 0.4352
H45 0.6950 0.7193 0.8083
H46 0.6950 0.7807 0.3083
H47 0.7413 0.6511 0.1787
H48 0.7413 0.8489 0.6787
H49 0.7587 0.1511 0.1787
H50 0.7587 0.3489 0.6787
H51 0.8050 0.2193 0.8083
H52 0.8050 0.2807 0.3083
H53 0.8270 0.5584 0.9352
H54 0.8270 0.9416 0.4352
H55 0.8479 0.5363 0.7186
H56 0.8479 0.9637 0.2186
H57 0.8709 0.2008 0.0843
H58 0.8709 0.2992 0.5843
H59 0.8743 0.1702 0.5009
H60 0.8743 0.3298 0.0009
H61 0.8992 0.5325 0.8604
H62 0.8992 0.9675 0.3604
H63 0.9146 0.7125 0.2957
H64 0.9146 0.7875 0.7957
C1 0.0449 0.6933 0.0847
C2 0.0449 0.8067 0.5847
C3 0.0788 0.0312 0.8715
C4 0.0788 0.4688 0.3715
C5 0.4212 0.5312 0.8715
C6 0.4212 0.9688 0.3715
C7 0.4551 0.1933 0.0847
C8 0.4551 0.3067 0.5847
C9 0.5449 0.6933 0.4153
C10 0.5449 0.8067 0.9153
C11 0.5788 0.0312 0.6285
C12 0.5788 0.4688 0.1285
C13 0.9212 0.5312 0.6285
C14 0.9212 0.9688 0.1285
C15 0.9551 0.1933 0.4153
C16 0.9551 0.3067 0.9153
N1 0.0204 0.2112 0.8658
N2 0.0204 0.2888 0.3658
N3 0.0686 0.7351 0.5292
N4 0.0686 0.7649 0.0292
N5 0.0842 0.5086 0.0952
N6 0.0839 0.5665 0.4227
N7 0.0839 0.9335 0.9227
N8 0.0842 0.9914 0.5952
N9 0.1310 0.5544 0.3171
N10 0.1310 0.9456 0.8171
N11 0.3690 0.0544 0.3171
N12 0.3690 0.4456 0.8171
N13 0.4158 0.0086 0.0952
N14 0.4161 0.0665 0.4227
N15 0.4161 0.4335 0.9227
N16 0.4158 0.4914 0.5952
N17 0.4314 0.2351 0.5292
N18 0.4314 0.2649 0.0292
N19 0.4796 0.7112 0.8658
N20 0.4796 0.7888 0.3658
N21 0.5204 0.2112 0.6342
N22 0.5204 0.2888 0.1342
N23 0.5686 0.7351 0.9708
N24 0.5686 0.7649 0.4708
N25 0.5842 0.5086 0.4048
N26 0.5839 0.5665 0.0773
N27 0.5839 0.9335 0.5773
N28 0.5842 0.9914 0.9048
N29 0.6310 0.5544 0.1829
N30 0.6310 0.9456 0.6829
N31 0.8690 0.0544 0.1829
N32 0.8690 0.4456 0.6829
N33 0.9158 0.0086 0.4048
N34 0.9161 0.0665 0.0773
N35 0.9161 0.4335 0.5773
N36 0.9158 0.4914 0.9048
N37 0.9314 0.2351 0.9708
N38 0.9314 0.2649 0.4708
N39 0.9796 0.7112 0.6342
N40 0.9796 0.7888 0.1342
O1 0.1796 0.1847 0.7111
O2 0.1796 0.3153 0.2111
O3 0.3204 0.6847 0.7111
O4 0.3204 0.8153 0.2111
O5 0.6796 0.1847 0.7889
O6 0.6796 0.3153 0.2889
O7 0.8204 0.6847 0.7889
O8 0.8204 0.8153 0.2889

Computed properties:
Total magnetization, μB per formula unit: 0.0
Crystal system: orthorhombic
Energy relative to the elements, meV/atom: -382

***

Record 2
VASP calculation (r2SCAN) on crystalline Fe3Ge at its relaxed geometry.

abc: 5.1749 5.1749 4.2224
angles: 90.00 90.00 120.00
Element x y z (fractional)
Fe1 0.1610 0.3219 0.2500
Fe2 0.1610 0.8390 0.2500
Fe3 0.3219 0.1610 0.7500
Fe4 0.6781 0.8390 0.2500
Fe5 0.8390 0.1610 0.7500
Fe6 0.8390 0.6781 0.7500
Ge1 0.3333 0.6667 0.7500
Ge2 0.6667 0.3333 0.2500

Computed properties:
Total magnetization, μB per formula unit: 7.7
Crystal system: hexagonal
Energy relative to the elements, meV/atom: -42

***

Record 3
VASP calculation (r2SCAN) on crystalline Y5Ni2Sb at its relaxed geometry.

abc: 8.6038 8.6038 8.6038
angles: 127.23 127.23 77.88
Element x y z (fractional)
Y1 0.0000 0.0000 0.0000
Y2 0.0202 0.5202 0.8139
Y3 0.2064 0.0202 0.5000
Y4 0.2936 0.7936 0.8139
Y5 0.4798 0.2936 0.5000
Y6 0.5000 0.5000 0.0000
Y7 0.5202 0.7064 0.5000
Y8 0.7064 0.2064 0.1861
Y9 0.7936 0.9798 0.5000
Y10 0.9798 0.4798 0.1861
Ni1 0.1294 0.3706 0.5000
Ni2 0.3706 0.8706 0.2411
Ni3 0.6294 0.1294 0.7589
Ni4 0.8706 0.6294 0.5000
Sb1 0.2500 0.2500 0.0000
Sb2 0.7500 0.7500 0.0000

Computed properties:
Total magnetization, μB per formula unit: 0.0
Crystal system: tetragonal
Energy relative to the elements, meV/atom: -551

***

Record 4
VASP calculation (r2SCAN) on crystalline Li2InIr at its relaxed geometry.

abc: 4.4313 4.4313 4.4313
angles: 60.00 60.00 60.00
Element x y z (fractional)
Li1 0.0000 0.0000 0.0000
Li2 0.2500 0.2500 0.2500
In1 0.5000 0.5000 0.5000
Ir1 0.7500 0.7500 0.7500

Computed properties:
Total magnetization, μB per formula unit: 0.0
Crystal system: cubic
Energy relative to the elements, meV/atom: -345

***

Record 5
VASP calculation (r2SCAN) on crystalline Zr at its relaxed geometry.

abc: 3.2027 3.2027 3.2027
angles: 60.00 60.00 60.00
Element x y z (fractional)
Zr1 0.0000 0.0000 0.0000

Computed properties:
Total magnetization, μB per formula unit: 0.0
Crystal system: cubic
Offset from the most stable computed form, meV per atom: 57
Energy relative to the elements, meV/atom: 57

***

Record 6
VASP calculation (r2SCAN) on crystalline Mg14FeSn at its relaxed geometry.

abc: 6.2552 6.2552 10.1210
angles: 90.00 90.00 120.00
Element x y z (fractional)
Mg1 0.0000 0.0000 0.2499
Mg2 0.0000 0.0000 0.7501
Mg3 0.0057 0.5028 0.2421
Mg4 0.0057 0.5028 0.7579
Mg5 0.3325 0.1663 0.0000
Mg6 0.3331 0.1666 0.5000
Mg7 0.4972 0.5028 0.2421
Mg8 0.4972 0.5028 0.7579
Mg9 0.4972 0.9943 0.2421
Mg10 0.4972 0.9943 0.7579
Mg11 0.8334 0.1666 0.5000
Mg12 0.8334 0.6669 0.5000
Mg13 0.8337 0.1663 0.0000
Mg14 0.8337 0.6675 0.0000
Fe1 0.3333 0.6667 0.0000
Sn1 0.3333 0.6667 0.5000

Computed properties:
Total magnetization, μB per formula unit: 2.9
Crystal system: hexagonal
Energy relative to the elements, meV/atom: 56

***

Record 7
VASP calculation (r2SCAN) on crystalline Th2In3Sn3 at its relaxed geometry.

abc: 4.6901 4.8419 9.3787
angles: 90.00 90.00 90.00
Element x y z (fractional)
Th1 0.0000 0.0000 0.2449
Th2 0.0000 0.0000 0.7551
In1 0.0000 0.5000 0.5000
In2 0.5000 0.5000 0.2542
In3 0.5000 0.5000 0.7458
Sn1 0.0000 0.5000 0.0000
Sn2 0.5000 0.0000 0.0000
Sn3 0.5000 0.0000 0.5000

Computed properties:
Total magnetization, μB per formula unit: 0.0
Crystal system: orthorhombic
Energy relative to the elements, meV/atom: -453

***

Record 8
VASP calculation (r2SCAN) on crystalline LiVF4 at its relaxed geometry.

abc: 5.4474 4.6383 5.5674
angles: 90.00 113.80 90.00
Element x y z (fractional)
Li1 0.0000 0.0000 0.0000
Li2 0.0000 0.5000 0.5000
V1 0.5000 0.0000 0.5000
V2 0.5000 0.5000 0.0000
F1 0.1649 0.1903 0.3599
F2 0.1649 0.3097 0.8599
F3 0.3548 0.7052 0.6526
F4 0.3548 0.7948 0.1526
F5 0.6452 0.2052 0.8474
F6 0.6452 0.2948 0.3474
F7 0.8351 0.6903 0.1401
F8 0.8351 0.8097 0.6401

Computed properties:
Total magnetization, μB per formula unit: 2.0
Crystal system: monoclinic
Offset from the most stable computed form, meV per atom: 0
Energy relative to the elements, meV/atom: -3240

***

Record 9
VASP calculation (r2SCAN) on crystalline Tb2InAu2 at its relaxed geometry.

abc: 7.9159 7.9159 3.7463
angles: 90.00 90.00 90.00
Element x y z (fractional)
Tb1 0.1707 0.3293 0.0000
Tb2 0.3293 0.8293 0.0000
Tb3 0.6707 0.1707 0.0000
Tb4 0.8293 0.6707 0.0000
In1 0.0000 0.0000 0.5000
In2 0.5000 0.5000 0.5000
Au1 0.1279 0.6279 0.5000
Au2 0.3721 0.1279 0.5000
Au3 0.6279 0.8721 0.5000
Au4 0.8721 0.3721 0.5000

Computed properties:
Total magnetization, μB per formula unit: 0.0
Crystal system: tetragonal
Energy relative to the elements, meV/atom: -928

***

Record 10
VASP calculation (r2SCAN) on crystalline Nb3SnH2 at its relaxed geometry.

abc: 5.4575 5.4438 5.4438
angles: 90.20 90.00 90.00
Element x y z (fractional)
Nb1 0.0000 0.0000 0.0000
Nb2 0.2500 0.4827 0.2373
Nb3 0.2500 0.4849 0.7445
Nb4 0.5000 0.0000 0.0000
Nb5 0.7500 0.2373 0.4827
Nb6 0.7500 0.7445 0.4849
Sn1 0.2500 0.9903 0.4942
Sn2 0.7500 0.4942 0.9903
H1 0.0000 0.4905 0.4905
H2 0.2500 0.7438 0.9929
H3 0.5000 0.4905 0.4905
H4 0.7500 0.9929 0.7438

Computed properties:
Total magnetization, μB per formula unit: 0.0
Crystal system: orthorhombic
Energy relative to the elements, meV/atom: -256

***

Record 11
VASP calculation (r2SCAN) on crystalline ReO2F3 at its relaxed geometry.

abc: 7.4690 7.4690 13.5478
angles: 90.00 90.00 83.58
Element x y z (fractional)
Re1 0.1718 0.8282 0.8212
Re2 0.2340 0.2340 0.5000
Re3 0.2660 0.2660 0.0000
Re4 0.3282 0.6718 0.3212
Re5 0.6718 0.3282 0.6788
Re6 0.7340 0.7340 0.0000
Re7 0.7660 0.7660 0.5000
Re8 0.8282 0.1718 0.1788
O1 0.0703 0.2081 0.4168
O2 0.1188 0.6447 0.7599
O3 0.1447 0.6188 0.2599
O4 0.2081 0.0703 0.5832
O5 0.2919 0.4297 0.0832
O6 0.3553 0.8812 0.7599
O7 0.3812 0.8553 0.2599
O8 0.4297 0.2919 0.9168
O9 0.5703 0.7081 0.0832
O10 0.6188 0.1447 0.7401
O11 0.6447 0.1188 0.2401
O12 0.7081 0.5703 0.9168
O13 0.7919 0.9297 0.4168
O14 0.8553 0.3812 0.7401
O15 0.8812 0.3553 0.2401
O16 0.9297 0.7919 0.5832
F1 0.0016 0.9984 0.7648
F2 0.0468 0.1878 0.0814
F3 0.0743 0.3814 0.9285
F4 0.1186 0.4257 0.5715
F5 0.1878 0.0468 0.9186
F6 0.2088 0.7912 0.4275
F7 0.2912 0.7088 0.9275
F8 0.3122 0.4532 0.4186
F9 0.3814 0.0743 0.0715
F10 0.4257 0.1186 0.4285
F11 0.4532 0.3122 0.5814
F12 0.4984 0.5016 0.2648
F13 0.5016 0.4984 0.7352
F14 0.5468 0.6878 0.4186
F15 0.5743 0.8814 0.5715
F16 0.6186 0.9257 0.9285
F17 0.6878 0.5468 0.5814
F18 0.7088 0.2912 0.0725
F19 0.7912 0.2088 0.5725
F20 0.8122 0.9532 0.0814
F21 0.8814 0.5743 0.4285
F22 0.9257 0.6186 0.0715
F23 0.9532 0.8122 0.9186
F24 0.9984 0.0016 0.2352

Computed properties:
Total magnetization, μB per formula unit: 0.0
Crystal system: orthorhombic
Offset from the most stable computed form, meV per atom: 3
Energy relative to the elements, meV/atom: -2023

***

Record 12
VASP calculation (r2SCAN) on crystalline La4Al5Br2 at its relaxed geometry.

abc: 11.8730 11.8730 4.3586
angles: 90.00 90.00 93.60
Element x y z (fractional)
La1 0.1356 0.8644 0.0000
La2 0.1764 0.5402 0.5000
La3 0.2350 0.2350 0.0000
La4 0.4598 0.8236 0.5000
La5 0.5402 0.1764 0.5000
La6 0.7650 0.7650 0.0000
La7 0.8236 0.4598 0.5000
La8 0.8644 0.1356 0.0000
Al1 0.0203 0.2842 0.5000
Al2 0.0289 0.3981 0.0000
Al3 0.0793 0.0793 0.5000
Al4 0.2842 0.0203 0.5000
Al5 0.3981 0.0289 0.0000
Al6 0.6019 0.9711 0.0000
Al7 0.7158 0.9797 0.5000
Al8 0.9207 0.9207 0.5000
Al9 0.9711 0.6019 0.0000
Al10 0.9797 0.7158 0.5000
Br1 0.3274 0.6726 0.0000
Br2 0.3776 0.3776 0.5000
Br3 0.6224 0.6224 0.5000
Br4 0.6726 0.3274 0.0000

Computed properties:
Total magnetization, μB per formula unit: 0.0
Crystal system: orthorhombic
Energy relative to the elements, meV/atom: -1009

***

Record 13
VASP calculation (r2SCAN) on crystalline BaClF at its relaxed geometry.

abc: 4.4183 4.4183 7.2810
angles: 90.00 90.00 90.00
Element x y z (fractional)
Ba1 0.2500 0.2500 0.2050
Ba2 0.7500 0.7500 0.7950
Cl1 0.2500 0.2500 0.6486
Cl2 0.7500 0.7500 0.3514
F1 0.2500 0.7500 0.0000
F2 0.7500 0.2500 0.0000

Computed properties:
Total magnetization, μB per formula unit: 0.0
Crystal system: tetragonal
Energy relative to the elements, meV/atom: -3530

***

Record 14
VASP calculation (r2SCAN) on crystalline LiFeP4O12 at its relaxed geometry.

abc: 7.3284 8.4451 7.4064
angles: 90.00 91.22 90.00
Element x y z (fractional)
Li1 0.2106 0.0000 0.0218
Li2 0.7894 0.5000 0.9782
Fe1 0.2415 0.7750 0.6482
Fe2 0.7585 0.2750 0.3518
P1 0.1355 0.3924 0.5541
P2 0.1383 0.3637 0.1619
P3 0.4025 0.5884 0.0019
P4 0.4298 0.1522 0.6353
P5 0.5702 0.6522 0.3647
P6 0.5975 0.0884 0.9981
P7 0.8617 0.8637 0.8381
P8 0.8645 0.8924 0.4459
O1 0.0477 0.8141 0.4584
O2 0.0643 0.8914 0.8290
O3 0.1380 0.5500 0.6425
O4 0.2011 0.2108 0.0938
O5 0.2111 0.5089 0.0502
O6 0.2238 0.4003 0.3598
O7 0.2744 0.2817 0.6618
O8 0.3433 0.9935 0.6276
O9 0.3544 0.7178 0.8734
O10 0.4518 0.6746 0.1881
O11 0.4534 0.6984 0.5172
O12 0.4604 0.9715 0.0465
O13 0.5396 0.4715 0.9535
O14 0.5466 0.1984 0.4828
O15 0.5482 0.1746 0.8119
O16 0.6456 0.2178 0.1266
O17 0.6567 0.4935 0.3724
O18 0.7256 0.7817 0.3382
O19 0.7762 0.9003 0.6402
O20 0.7889 0.0089 0.9498
O21 0.7989 0.7108 0.9062
O22 0.8620 0.0500 0.3575
O23 0.9357 0.3914 0.1710
O24 0.9523 0.3141 0.5416

Computed properties:
Total magnetization, μB per formula unit: 5.0
Crystal system: monoclinic
Energy relative to the elements, meV/atom: -2252